Material: FePO4
Method: DFT, PBE with a Hubbard U
State: optimized geometry

The structure in POSCAR format:
```
FePO4
1.0
10.159 0.000 0.000
0.000 7.706 0.000
0.000 0.000 5.356
Fe P O
4 4 16
direct
0.100 0.197 0.000 Fe
0.400 0.697 0.500 Fe
0.600 0.303 0.000 Fe
0.900 0.803 0.500 Fe
0.178 0.974 0.500 P
0.322 0.474 0.000 P
0.678 0.526 0.500 P
0.822 0.026 0.000 P
0.086 0.817 0.457 O
0.140 0.128 0.331 O
0.169 0.032 0.777 O
0.179 0.417 0.944 O
0.321 0.917 0.444 O
0.331 0.532 0.277 O
0.360 0.628 0.831 O
0.414 0.317 0.957 O
0.586 0.683 0.457 O
0.640 0.372 0.331 O
0.669 0.468 0.777 O
0.679 0.083 0.944 O
0.821 0.583 0.444 O
0.831 0.968 0.277 O
0.860 0.872 0.831 O
0.914 0.183 0.957 O
```

## Properties
The value obtained for the maximum piezoelectric response is 0.14 C/m2. The calculation puts the energy at -170.2 eV per cell. As for the formation energy from the elements: -13.869 eV per formula unit.